[1]
Ac2CdHg: relaxed, GGA-PBE.

Properties
ΔH_f (0 K) = -364 meV/atom
space-group type = Fm-3m (225)

Unit cell a=5.750 b=5.750 c=5.750 alpha=60.00 beta=60.00 gamma=60.00
Fractional coordinates of all 4 atoms:
Ac: 0.750 0.750 0.750
Ac: 0.250 0.250 0.250
Cd: 0.500 0.500 0.500
Hg: 0.000 0.000 0.000


[2]
Ba4Y2Cu5PdO14: relaxed, GGA-PBE.

Properties
ΔH_f (0 K) = -2168 meV/atom
spin magnetization = 0.0212 μB/atom
space-group type = Pmmm (47)
energy above the lowest structure with this stoichiometry = 0 meV/atom

Unit cell a=3.832 b=3.949 c=24.021 alpha=90.00 beta=90.00 gamma=90.00
Fractional coordinates of all 26 atoms:
Ba: 0.500 0.500 0.090
Ba: 0.500 0.500 0.594
Ba: 0.500 0.500 0.406
Ba: 0.500 0.500 0.910
Y: 0.500 0.500 0.248
Y: 0.500 0.500 0.752
Cu: 0.000 0.000 0.177
Cu: 0.000 0.000 0.679
Cu: 0.000 0.000 0.321
Cu: 0.000 0.000 0.823
Cu: 0.000 0.000 0.000
Pd: 0.000 0.000 0.500
O: 0.000 0.000 0.078
O: 0.000 0.000 0.585
O: 0.000 0.000 0.415
O: 0.000 0.000 0.922
O: 0.000 0.500 0.000
O: 0.000 0.500 0.500
O: 0.500 0.000 0.190
O: 0.500 0.000 0.693
O: 0.500 0.000 0.307
O: 0.500 0.000 0.810
O: 0.000 0.500 0.189
O: 0.000 0.500 0.691
O: 0.000 0.500 0.309
O: 0.000 0.500 0.811


[3]
KSmHf4O12: relaxed, GGA-PBE.

Properties
ΔH_f (0 K) = -3197 meV/atom
spin magnetization = 0.2222 μB/atom
space-group type = Amm2 (38)

Unit cell a=5.783 b=5.783 c=8.240 alpha=90.00 beta=90.00 gamma=90.75
Fractional coordinates of all 18 atoms:
K: 0.981 0.019 0.000
Sm: 0.524 0.476 0.500
Hf: 0.493 0.991 0.246
Hf: 0.493 0.991 0.754
Hf: 0.009 0.507 0.754
Hf: 0.009 0.507 0.246
O: 0.235 0.235 0.269
O: 0.765 0.765 0.269
O: 0.765 0.765 0.731
O: 0.235 0.235 0.731
O: 0.293 0.707 0.309
O: 0.723 0.277 0.254
O: 0.723 0.277 0.746
O: 0.293 0.707 0.691
O: 0.476 0.982 0.000
O: 0.515 0.065 0.500
O: 0.018 0.524 0.000
O: 0.935 0.485 0.500


[4]
Ca2SiO4: relaxed, GGA-PBE.

Properties
ΔH_f (0 K) = -3468 meV/atom
spin magnetization = 0.0000 μB/atom
space-group type = P2_1/c (14)
energy above the lowest structure with this stoichiometry = 8 meV/atom

Unit cell a=8.295 b=5.772 c=9.211 alpha=61.78 beta=90.00 gamma=90.00
Fractional coordinates of all 28 atoms:
Ca: 0.988 0.147 0.637
Ca: 0.488 0.853 0.863
Ca: 0.158 0.582 0.127
Ca: 0.512 0.147 0.137
Ca: 0.658 0.418 0.373
Ca: 0.012 0.853 0.363
Ca: 0.342 0.582 0.627
Ca: 0.842 0.418 0.873
Si: 0.695 0.759 0.537
Si: 0.195 0.241 0.963
Si: 0.805 0.759 0.037
Si: 0.305 0.241 0.463
O: 0.179 0.484 0.435
O: 0.807 0.026 0.477
O: 0.563 0.788 0.395
O: 0.603 0.671 0.712
O: 0.103 0.329 0.788
O: 0.063 0.212 0.105
O: 0.321 0.484 0.935
O: 0.307 0.974 0.023
O: 0.693 0.026 0.977
O: 0.679 0.516 0.065
O: 0.937 0.788 0.895
O: 0.897 0.671 0.212
O: 0.397 0.329 0.288
O: 0.437 0.212 0.605
O: 0.193 0.974 0.523
O: 0.821 0.516 0.565


[5]
TbNi2Sb2: relaxed, GGA-PBE.

Properties
ΔH_f (0 K) = -655 meV/atom
spin magnetization = 0.0000 μB/atom
space-group type = P4/nmm (129)

Unit cell a=4.439 b=4.439 c=9.944 alpha=90.00 beta=90.00 gamma=90.00
Fractional coordinates of all 10 atoms:
Tb: 0.000 0.500 0.239
Tb: 0.500 0.000 0.761
Ni: 0.000 0.000 0.000
Ni: 0.500 0.500 0.000
Ni: 0.000 0.500 0.624
Ni: 0.500 0.000 0.376
Sb: 0.000 0.000 0.500
Sb: 0.500 0.500 0.500
Sb: 0.000 0.500 0.872
Sb: 0.500 0.000 0.128


[6]
Mn4Si3Ni5: relaxed, GGA-PBE.

Properties
ΔH_f (0 K) = -320 meV/atom
spin magnetization = 1.2617 μB/atom
space-group type = Amm2 (38)

Unit cell a=4.713 b=4.713 c=7.505 alpha=90.00 beta=90.00 gamma=119.65
Fractional coordinates of all 12 atoms:
Mn: 0.333 0.667 0.816
Mn: 0.666 0.334 0.690
Mn: 0.666 0.334 0.310
Mn: 0.333 0.667 0.184
Si: 0.990 0.010 0.243
Si: 0.990 0.010 0.757
Si: 0.184 0.816 0.500
Ni: 0.672 0.825 0.500
Ni: 0.175 0.328 0.500
Ni: 0.826 0.174 0.000
Ni: 0.337 0.171 0.000
Ni: 0.829 0.663 0.000


[7]
LiCuP3O9: relaxed, GGA-PBE.

Properties
ΔH_f (0 K) = -2354 meV/atom
spin magnetization = 0.0714 μB/atom
space-group type = Pbcm (57)
energy above the lowest structure with this stoichiometry = 49 meV/atom

Unit cell a=5.158 b=11.584 c=13.083 alpha=90.00 beta=90.00 gamma=90.00
Fractional coordinates of all 56 atoms:
Li: 0.121 0.061 0.250
Li: 0.121 0.439 0.750
Li: 0.879 0.561 0.250
Li: 0.879 0.939 0.750
Cu: 0.000 0.000 0.000
Cu: 0.000 0.500 0.000
Cu: 0.000 0.000 0.500
Cu: 0.000 0.500 0.500
P: 0.236 0.750 0.000
P: 0.236 0.750 0.500
P: 0.473 0.082 0.639
P: 0.473 0.082 0.861
P: 0.473 0.418 0.139
P: 0.473 0.418 0.361
P: 0.527 0.582 0.639
P: 0.527 0.918 0.139
P: 0.527 0.918 0.361
P: 0.527 0.582 0.861
P: 0.764 0.250 0.000
P: 0.764 0.250 0.500
O: 0.086 0.657 0.055
O: 0.086 0.657 0.445
O: 0.086 0.843 0.555
O: 0.086 0.843 0.945
O: 0.187 0.439 0.122
O: 0.187 0.061 0.622
O: 0.187 0.439 0.378
O: 0.187 0.061 0.878
O: 0.339 0.016 0.129
O: 0.339 0.016 0.371
O: 0.339 0.484 0.629
O: 0.339 0.484 0.871
O: 0.499 0.859 0.250
O: 0.499 0.641 0.750
O: 0.443 0.693 0.576
O: 0.443 0.807 0.076
O: 0.443 0.693 0.924
O: 0.443 0.807 0.424
O: 0.557 0.193 0.576
O: 0.557 0.307 0.076
O: 0.557 0.307 0.424
O: 0.557 0.193 0.924
O: 0.501 0.141 0.750
O: 0.501 0.359 0.250
O: 0.661 0.984 0.629
O: 0.661 0.516 0.129
O: 0.661 0.516 0.371
O: 0.661 0.984 0.871
O: 0.813 0.561 0.622
O: 0.813 0.939 0.122
O: 0.813 0.939 0.378
O: 0.813 0.561 0.878
O: 0.914 0.157 0.445
O: 0.914 0.343 0.555
O: 0.914 0.157 0.055
O: 0.914 0.343 0.945


[8]
BaAl2Te4: relaxed, GGA-PBE.

Properties
ΔH_f (0 K) = -1132 meV/atom
space-group type = I422 (97)
energy above the lowest structure with this stoichiometry = 9 meV/atom
maximum piezoelectric response = 0.08 C/m²

Unit cell a=7.010 b=7.010 c=7.010 alpha=103.34 beta=103.34 gamma=122.58
Fractional coordinates of all 7 atoms:
Ba: 0.000 0.000 0.000
Al: 0.500 0.000 0.500
Al: 0.000 0.500 0.500
Te: 0.917 0.083 0.500
Te: 0.083 0.583 0.166
Te: 0.417 0.917 0.834
Te: 0.583 0.417 0.500


[9]
In2Hg5Te8: relaxed, GGA-PBE.

Properties
ΔH_f (0 K) = -446 meV/atom
space-group type = I-4m2 (119)

Unit cell a=9.226 b=9.226 c=9.226 alpha=119.33 beta=119.33 gamma=91.16
Fractional coordinates of all 15 atoms:
In: 0.236 0.236 0.000
In: 0.764 0.764 0.000
Hg: 0.250 0.750 0.500
Hg: 0.234 0.766 0.000
Hg: 0.766 0.234 0.000
Hg: 0.234 0.234 0.468
Hg: 0.766 0.766 0.532
Te: 0.410 0.138 0.272
Te: 0.866 0.138 0.728
Te: 0.862 0.134 0.272
Te: 0.862 0.590 0.728
Te: 0.869 0.625 0.244
Te: 0.381 0.625 0.756
Te: 0.375 0.619 0.244
Te: 0.375 0.131 0.756


[10]
Ba2Cr5S10: relaxed, GGA-PBE.

Properties
ΔH_f (0 K) = -1314 meV/atom
space-group type = P-1 (2)

Unit cell a=5.921 b=6.835 c=17.460 alpha=95.40 beta=91.89 gamma=90.05
Fractional coordinates of all 34 atoms:
Ba: 0.365 0.316 0.768
Ba: 0.635 0.684 0.232
Ba: 0.747 0.262 0.547
Ba: 0.253 0.738 0.453
Cr: 0.728 0.831 0.830
Cr: 0.272 0.169 0.170
Cr: 0.767 0.376 0.002
Cr: 0.233 0.624 0.998
Cr: 0.094 0.791 0.669
Cr: 0.906 0.209 0.331
Cr: 0.587 0.790 0.665
Cr: 0.413 0.210 0.335
Cr: 0.243 0.122 0.990
Cr: 0.757 0.878 0.010
S: 0.335 0.540 0.614
S: 0.665 0.460 0.386
S: 0.358 0.818 0.779
S: 0.642 0.182 0.221
S: 0.072 0.359 0.919
S: 0.928 0.641 0.081
S: 0.335 0.016 0.614
S: 0.665 0.984 0.386
S: 0.057 0.853 0.919
S: 0.943 0.147 0.081
S: 0.581 0.611 0.927
S: 0.419 0.389 0.073
S: 0.589 0.103 0.923
S: 0.411 0.897 0.077
S: 0.845 0.578 0.736
S: 0.155 0.422 0.264
S: 0.846 0.036 0.736
S: 0.154 0.964 0.264
S: 0.832 0.766 0.563
S: 0.168 0.234 0.437


[11]
RbTh3F13: relaxed, GGA-PBE.

Properties
ΔH_f (0 K) = -4263 meV/atom
spin magnetization = 0.0000 μB/atom
space-group type = Pmc2_1 (26)
energy above the lowest structure with this stoichiometry = 86 meV/atom

Unit cell a=7.132 b=8.050 c=8.870 alpha=90.00 beta=90.00 gamma=90.00
Fractional coordinates of all 34 atoms:
Rb: 0.978 0.500 0.693
Rb: 0.022 0.500 0.193
Th: 0.478 0.756 0.925
Th: 0.522 0.244 0.425
Th: 0.478 0.244 0.925
Th: 0.522 0.756 0.425
Th: 0.986 0.000 0.048
Th: 0.014 0.000 0.548
F: 0.653 0.500 0.938
F: 0.347 0.500 0.438
F: 0.568 0.687 0.680
F: 0.432 0.313 0.180
F: 0.568 0.313 0.680
F: 0.432 0.687 0.180
F: 0.766 0.223 0.061
F: 0.234 0.777 0.561
F: 0.766 0.777 0.061
F: 0.234 0.223 0.561
F: 0.842 0.240 0.473
F: 0.158 0.760 0.973
F: 0.842 0.760 0.473
F: 0.158 0.240 0.973
F: 0.951 0.846 0.752
F: 0.049 0.154 0.252
F: 0.951 0.154 0.752
F: 0.049 0.846 0.252
F: 0.680 0.500 0.368
F: 0.320 0.500 0.868
F: 0.335 0.000 0.789
F: 0.665 0.000 0.289
F: 0.664 0.000 0.892
F: 0.336 0.000 0.392
F: 0.635 0.000 0.569
F: 0.365 0.000 0.069


[12]
Cs2SiH2O4: relaxed, GGA-PBE.

Properties
ΔH_f (0 K) = -2155 meV/atom
spin magnetization = 0.0001 μB/atom
space-group type = P-1 (2)
energy above the lowest structure with this stoichiometry = 0 meV/atom

Unit cell a=6.400 b=6.610 c=8.405 alpha=74.93 beta=70.76 gamma=80.65
Fractional coordinates of all 18 atoms:
Cs: 0.680 0.189 0.318
Cs: 0.320 0.811 0.682
Cs: 0.719 0.771 0.039
Cs: 0.281 0.229 0.961
Si: 0.119 0.638 0.269
Si: 0.881 0.362 0.731
H: 0.275 0.501 0.472
H: 0.725 0.499 0.528
H: 0.906 0.692 0.585
H: 0.094 0.308 0.415
O: 0.319 0.619 0.369
O: 0.681 0.381 0.631
O: 0.097 0.376 0.291
O: 0.903 0.624 0.709
O: 0.883 0.736 0.384
O: 0.117 0.264 0.616
O: 0.210 0.749 0.068
O: 0.790 0.251 0.932


[13]
Tm3Cu11Si4: relaxed, GGA-PBE.

Properties
ΔH_f (0 K) = -317 meV/atom
spin magnetization = 0.0000 μB/atom
space-group type = P6_3/mmc (194)

Unit cell a=8.332 b=8.332 c=8.511 alpha=90.00 beta=90.00 gamma=120.00
Fractional coordinates of all 36 atoms:
Tm: 0.802 0.198 0.750
Tm: 0.198 0.802 0.250
Tm: 0.397 0.198 0.750
Tm: 0.603 0.802 0.250
Tm: 0.802 0.603 0.750
Tm: 0.198 0.397 0.250
Cu: 0.848 0.152 0.410
Cu: 0.152 0.848 0.590
Cu: 0.304 0.152 0.410
Cu: 0.152 0.848 0.910
Cu: 0.696 0.848 0.590
Cu: 0.848 0.152 0.090
Cu: 0.848 0.696 0.410
Cu: 0.696 0.848 0.910
Cu: 0.152 0.304 0.590
Cu: 0.304 0.152 0.090
Cu: 0.152 0.304 0.910
Cu: 0.848 0.696 0.090
Cu: 0.435 0.565 0.750
Cu: 0.565 0.435 0.250
Cu: 0.130 0.565 0.750
Cu: 0.870 0.435 0.250
Cu: 0.435 0.870 0.750
Cu: 0.565 0.130 0.250
Cu: 0.667 0.333 0.005
Cu: 0.333 0.667 0.995
Cu: 0.333 0.667 0.505
Cu: 0.667 0.333 0.495
Si: 0.500 0.500 0.000
Si: 0.000 0.500 0.000
Si: 0.500 0.500 0.500
Si: 0.500 0.000 0.000
Si: 0.000 0.500 0.500
Si: 0.500 0.000 0.500
Si: 0.000 0.000 0.750
Si: 0.000 0.000 0.250